14
Lattice="6.097 0.000 0.000 0.000 6.540 0.000 -2.696 0.000 5.896" Properties=species:S:1:pos:R:3 comment="K2Mn2O3 | the Materials Project database | PBE with a Hubbard U | relaxed" crystal_system=monoclinic energy_ev_per_atom=-6.049 delta_e_f_mev_per_atom=-1764 pbc="T T T"
K -0.035 0.904 2.522
K -1.383 2.365 5.469
K 4.784 4.174 0.426
K 3.436 5.635 3.374
Mn 0.503 4.008 3.358
Mn 1.851 5.801 0.410
Mn 1.549 0.738 5.485
Mn 2.897 2.531 2.538
O 0.000 0.000 0.000
O -1.348 3.270 2.948
O 1.749 4.133 1.659
O 0.401 5.676 4.607
O 3.000 0.864 1.289
O 1.652 2.406 4.237



56
Lattice="17.017 0.000 0.000 0.000 9.872 0.000 0.000 0.000 6.227" Properties=species:S:1:pos:R:3 comment="K5Mn3O6 | the Materials Project database | PBE with a Hubbard U | relaxed" crystal_system=orthorhombic energy_ev_per_atom=-5.546 delta_e_f_mev_per_atom=-1718 magmom_total_mub_per_fu=14.00 pbc="T T T"
K 0.055 0.877 0.000
K 1.491 5.733 2.456
K 1.916 3.841 5.658
K 3.142 8.740 1.681
K 3.634 0.557 5.003
K 4.875 5.493 1.890
K 5.366 3.804 4.794
K 6.593 8.777 2.544
K 7.017 0.798 5.569
K 8.454 5.813 3.113
K 8.563 4.058 0.000
K 9.999 9.074 2.456
K 10.424 1.094 5.658
K 11.650 6.068 1.681
K 12.142 4.379 5.003
K 13.383 9.314 1.890
K 13.875 1.132 4.794
K 15.101 6.030 2.544
K 15.526 4.138 5.569
K 16.962 8.994 3.113
Mn 1.379 7.158 5.531
Mn 1.476 2.465 2.558
Mn 4.259 2.248 2.006
Mn 4.250 7.183 5.120
Mn 7.032 7.401 5.671
Mn 7.130 2.222 2.418
Mn 9.887 7.649 5.531
Mn 9.985 2.471 2.558
Mn 12.767 2.688 2.006
Mn 12.758 7.624 5.120
Mn 15.540 7.407 5.671
Mn 15.638 2.713 2.418
O 0.047 3.461 1.378
O 0.172 7.901 0.665
O 2.519 7.978 4.180
O 2.582 1.404 1.127
O 2.869 6.354 0.256
O 3.115 3.530 3.235
O 5.394 8.466 0.121
O 5.639 1.418 3.370
O 5.926 6.340 4.240
O 5.989 3.042 1.067
O 8.336 2.966 3.778
O 8.462 8.396 4.491
O 8.555 1.475 1.378
O 8.681 6.906 0.665
O 11.028 6.830 4.180
O 11.090 3.532 1.127
O 11.378 8.454 0.256
O 11.623 1.406 3.235
O 13.902 6.342 0.121
O 14.148 3.518 3.370
O 14.435 8.468 4.240
O 14.498 1.894 1.067
O 16.844 1.970 3.778
O 16.970 6.411 4.491



28
Lattice="6.737 0.000 0.000 0.000 11.676 0.000 -0.722 0.000 6.793" Properties=species:S:1:pos:R:3 comment="K3MnO3 | the Materials Project database | PBE with a Hubbard U | relaxed" crystal_system=monoclinic energy_ev_per_atom=-5.094 delta_e_f_mev_per_atom=-1721 pbc="T T T"
K 0.076 2.639 0.544
K -0.285 3.199 3.940
K 1.877 5.952 4.358
K 2.238 11.563 0.961
K 2.833 2.478 3.345
K 2.472 3.361 6.742
K 3.543 8.316 0.051
K 3.182 9.199 3.448
K 3.777 0.114 5.832
K 4.138 5.724 2.436
K 6.300 8.478 2.853
K 5.939 9.037 6.250
Mn 0.953 5.881 1.080
Mn 0.592 11.633 4.476
Mn 5.423 0.043 2.317
Mn 5.062 5.795 5.714
O 0.447 0.863 2.721
O 0.087 4.975 6.117
O 1.283 1.399 5.474
O 1.644 4.439 2.078
O 1.821 7.333 1.925
O 1.460 10.182 5.321
O 4.555 1.495 1.472
O 4.194 4.344 4.868
O 4.371 7.237 4.716
O 4.732 10.277 1.319
O 5.929 6.701 0.676
O 5.568 10.814 4.073



56
Lattice="9.820 0.000 0.000 0.000 5.864 0.000 -6.356 0.000 13.036" Properties=species:S:1:pos:R:3 comment="KMn2O4 | the Materials Project database | PBE with a Hubbard U | relaxed" crystal_system=monoclinic e_above_lowest_polymorph_ev_per_atom=0.018 energy_ev_per_atom=-6.684 delta_e_f_mev_per_atom=-1950 magmom_total_mub_per_fu=7.00 pbc="T T T"
K -1.062 0.733 4.899
K -4.240 5.131 11.417
K -4.102 2.199 11.271
K -0.924 3.665 4.753
K 4.388 2.199 8.283
K 7.566 3.665 1.765
K 7.704 0.733 1.619
K 4.526 5.131 8.137
Mn -1.916 2.201 8.816
Mn 1.262 3.663 2.298
Mn 1.263 0.733 2.317
Mn -1.915 5.131 8.835
Mn 1.000 0.733 7.597
Mn 4.177 2.198 1.079
Mn 0.999 3.665 7.597
Mn 4.178 5.131 1.079
Mn -0.714 0.733 11.957
Mn 2.465 2.198 5.439
Mn -0.713 3.665 11.957
Mn 2.464 5.131 5.439
Mn 5.379 0.733 4.201
Mn 2.201 5.131 10.719
Mn 2.202 2.201 10.738
Mn 5.380 3.663 4.220
O -3.180 0.735 9.086
O -0.001 2.199 2.570
O -3.179 3.664 9.088
O -0.001 5.128 2.568
O -0.883 0.731 7.995
O 2.295 5.133 1.477
O 2.297 2.195 1.484
O -0.881 3.668 8.002
O -2.482 0.733 12.814
O 0.696 5.130 6.296
O 0.696 2.199 6.296
O -2.482 3.664 12.814
O 2.022 0.732 4.272
O -1.157 2.199 10.787
O 2.021 3.665 4.269
O -1.156 5.131 10.790
O 4.620 0.732 2.246
O 1.443 2.199 8.767
O 4.621 3.665 2.249
O 1.441 5.131 8.764
O 5.946 2.199 0.222
O 2.768 3.664 6.740
O 2.768 0.733 6.740
O 5.946 5.130 0.222
O 4.345 2.195 5.034
O 1.167 3.668 11.552
O 1.169 0.731 11.559
O 4.347 5.133 5.041
O 3.465 0.735 10.468
O 6.643 2.199 3.948
O 3.465 3.664 10.466
O 6.643 5.128 3.950